(1)
Here is a relaxed structure of CaOsO3 from the Materials Project. Energies are from PBE-GGA. Values from VASP.

Values from the calculation:
theoretical density: 7486 kg/m³
total magnetic moment: 0.21 μB per atom
energy of formation: -1977 meV/atom
SG: Pm-3m

Quantum ESPRESSO input file:
```
&SYSTEM
  ibrav = 0, nat = 5, ntyp = 3
/
ATOMIC_SPECIES
O 16.00 O.upf
Os 190.23 Os.upf
Ca 40.08 Ca.upf
ATOMIC_POSITIONS crystal
O 0.500 0.000 0.500
O 0.500 0.500 0.000
O 0.000 0.500 0.500
Os 0.500 0.500 0.500
Ca 0.000 0.000 0.000
CELL_PARAMETERS angstrom
3.952 0.000 0.000
0.000 3.952 0.000
0.000 0.000 3.952
```

---

(2)
Here is a relaxed structure of Ca2Os2O7 from the Materials Project. Energies are from PBE-GGA. Values from VASP.

Values from the calculation:
theoretical density: 6837 kg/m³
energy of formation: -2237 meV/atom
SG: Imma

Quantum ESPRESSO input file:
```
&SYSTEM
  ibrav = 0, nat = 22, ntyp = 3
/
ATOMIC_SPECIES
Os 190.23 Os.upf
O 16.00 O.upf
Ca 40.08 Ca.upf
ATOMIC_POSITIONS crystal
Os 0.000 0.500 0.000
Os 0.000 0.500 0.500
Os 0.000 0.000 0.500
Os 0.500 0.000 0.500
O 0.914 0.750 0.164
O 0.365 0.097 0.269
O 0.684 0.915 0.366
O 0.049 0.415 0.231
O 0.328 0.597 0.731
O 0.316 0.681 0.231
O 0.672 0.403 0.269
O 0.951 0.181 0.366
O 0.635 0.903 0.731
O 0.684 0.319 0.769
O 0.951 0.585 0.769
O 0.049 0.819 0.634
O 0.316 0.085 0.634
O 0.086 0.250 0.836
Ca 0.500 0.000 0.000
Ca 0.500 0.500 0.000
Ca 0.000 0.000 0.000
Ca 0.500 0.500 0.500
CELL_PARAMETERS angstrom
-3.628 3.743 5.119
3.628 -3.743 5.119
3.628 3.743 -5.119
```

---

(3)
Here is a relaxed structure of Ca2ScOsO6 from the Materials Project. Energies are from PBE-GGA. Values from VASP.

Values from the calculation:
theoretical density: 5550 kg/m³
total magnetic moment: 0.30 μB per atom
energy of formation: -2915 meV/atom
SG: P2_1/c

Quantum ESPRESSO input file:
```
&SYSTEM
  ibrav = 0, nat = 20, ntyp = 4
/
ATOMIC_SPECIES
Os 190.23 Os.upf
Ca 40.08 Ca.upf
O 16.00 O.upf
Sc 44.96 Sc.upf
ATOMIC_POSITIONS crystal
Os 0.000 0.000 0.500
Os 0.500 0.000 0.000
Ca 0.948 0.238 0.750
Ca 0.052 0.762 0.250
Ca 0.448 0.762 0.750
Ca 0.552 0.238 0.250
O 0.696 0.757 0.952
O 0.030 0.664 0.742
O 0.196 0.243 0.548
O 0.970 0.336 0.258
O 0.290 0.858 0.450
O 0.304 0.243 0.048
O 0.210 0.858 0.950
O 0.530 0.336 0.758
O 0.804 0.757 0.452
O 0.790 0.142 0.050
O 0.470 0.664 0.242
O 0.710 0.142 0.550
Sc 0.500 0.500 0.500
Sc 0.000 0.500 0.000
CELL_PARAMETERS angstrom
5.667 0.000 0.000
0.000 5.509 0.000
0.000 5.483 7.883
```